# TbSBr (r²SCAN, relaxed)
# - calculated volume (Å³/cell) = 314.6
# - formation energy from the elements (eV/atom) = -2.30
data_TbSBr
_cell_length_a 6.7998
_cell_length_b 6.8884
_cell_length_c 6.8114
_cell_angle_alpha 90.00
_cell_angle_beta 99.60
_cell_angle_gamma 90.00
_symmetry_space_group_name_H-M 'P 1 21/c 1'
_symmetry_Int_Tables_number 14
loop_
_symmetry_equiv_pos_as_xyz
'x,y,z'
'-x,-y,-z'
'-x,y+1/2,-z+1/2'
'x,-y+1/2,z+1/2'
loop_
_atom_site_label
_atom_site_type_symbol
_atom_site_fract_x
_atom_site_fract_y
_atom_site_fract_z
Tb1 Tb 0.1789 0.0364 0.2915
S1 S 0.0553 0.7395 0.5079
Br1 Br 0.4199 0.1238 0.7052



# TeS7Br2 (r²SCAN, relaxed)
# - calculated volume (Å³/cell) = 1201.7
# - formation energy from the elements (eV/atom) = -0.11
data_TeS7Br2
_cell_length_a 9.8265
_cell_length_b 9.0350
_cell_length_c 13.5347
_cell_angle_alpha 90.00
_cell_angle_beta 90.00
_cell_angle_gamma 90.00
_symmetry_space_group_name_H-M 'P n m a'
_symmetry_Int_Tables_number 62
loop_
_symmetry_equiv_pos_as_xyz
'x,y,z'
'-x,-y,-z'
'-x+1/2,-y,z+1/2'
'x+1/2,y,-z+1/2'
'x+1/2,-y+1/2,-z+1/2'
'-x+1/2,y+1/2,z+1/2'
'-x,y+1/2,-z'
'x,-y+1/2,z'
loop_
_atom_site_label
_atom_site_type_symbol
_atom_site_fract_x
_atom_site_fract_y
_atom_site_fract_z
Te1 Te 0.1985 0.2500 0.0952
S1 S 0.1535 0.5683 0.2788
S2 S 0.1743 0.5377 0.5208
S3 S 0.2391 0.5274 0.8943
S4 S 0.2436 0.2500 0.7278
Br1 Br 0.0104 0.2500 0.9614
Br2 Br 0.0740 0.7500 0.7080



# ScBr3 (r²SCAN, relaxed)
# - calculated volume (Å³/cell) = 300.3
# - formation energy from the elements (eV/atom) = -1.86
data_ScBr3
_cell_length_a 9.9187
_cell_length_b 9.9187
_cell_length_c 3.5243
_cell_angle_alpha 90.00
_cell_angle_beta 90.00
_cell_angle_gamma 120.00
_symmetry_space_group_name_H-M 'P 63/m m c'
_symmetry_Int_Tables_number 194
_symmetry_space_group_name_Hall '-P 6c 2c'
loop_
_atom_site_label
_atom_site_type_symbol
_atom_site_fract_x
_atom_site_fract_y
_atom_site_fract_z
Sc1 Sc 0.3333 0.6667 0.2500
Br1 Br 0.2159 0.4319 0.7500



# SiBr2 (r²SCAN, relaxed)
# - calculated volume (Å³/cell) = 2645.4
# - formation energy from the elements (eV/atom) = -0.73
data_SiBr2
_cell_length_a 18.6920
_cell_length_b 10.2729
_cell_length_c 14.6611
_cell_angle_alpha 90.00
_cell_angle_beta 110.00
_cell_angle_gamma 90.00
_symmetry_space_group_name_H-M 'C 1 2/c 1'
_symmetry_Int_Tables_number 15
loop_
_symmetry_equiv_pos_as_xyz
'x,y,z'
'-x,-y,-z'
'-x,y,-z+1/2'
'x,-y,z+1/2'
'x+1/2,y+1/2,z'
'-x+1/2,-y+1/2,-z'
'-x+1/2,y+1/2,-z+1/2'
'x+1/2,-y+1/2,z+1/2'
loop_
_atom_site_label
_atom_site_type_symbol
_atom_site_fract_x
_atom_site_fract_y
_atom_site_fract_z
Si1 Si 0.1270 0.2046 0.4906
Si2 Si 0.1550 0.3975 0.4221
Si3 Si 0.2171 0.0385 0.5042
Br1 Br 0.0144 0.1301 0.3991
Br2 Br 0.0798 0.4446 0.9386
Br3 Br 0.1270 0.2551 0.6376
Br4 Br 0.1366 0.3642 0.2664
Br5 Br 0.1953 0.1245 0.0898
Br6 Br 0.2009 0.0214 0.8532



# Tb4SiBr6 (r²SCAN, relaxed)
# - calculated volume (Å³/cell) = 749.9
# - formation energy from the elements (eV/atom) = -1.84
data_Tb4SiBr6
_cell_length_a 13.2107
_cell_length_b 13.9937
_cell_length_c 4.0566
_cell_angle_alpha 90.00
_cell_angle_beta 90.00
_cell_angle_gamma 90.00
_symmetry_space_group_name_H-M 'P b a m'
_symmetry_Int_Tables_number 55
loop_
_symmetry_equiv_pos_as_xyz
'x,y,z'
'-x,-y,-z'
'-x,-y,z'
'x,y,-z'
'x+1/2,-y+1/2,-z'
'-x+1/2,y+1/2,z'
'-x+1/2,y+1/2,-z'
'x+1/2,-y+1/2,z'
loop_
_atom_site_label
_atom_site_type_symbol
_atom_site_fract_x
_atom_site_fract_y
_atom_site_fract_z
Tb1 Tb 0.1185 0.0788 0.0000
Tb2 Tb 0.1185 0.8408 0.5000
Si1 Si 0.0000 0.0000 0.5000
Br1 Br 0.0020 0.7424 0.0000
Br2 Br 0.2445 0.4112 0.0000
Br3 Br 0.2442 0.6635 0.5000



# SmBr2 (r²SCAN, relaxed)
# - calculated volume (Å³/cell) = 386.8
# - formation energy from the elements (eV/atom) = -1.88
data_SmBr2
_cell_length_a 6.7990
_cell_length_b 3.9796
_cell_length_c 14.2959
_cell_angle_alpha 90.00
_cell_angle_beta 90.00
_cell_angle_gamma 90.00
_symmetry_space_group_name_H-M 'P n m a'
_symmetry_Int_Tables_number 62
loop_
_symmetry_equiv_pos_as_xyz
'x,y,z'
'-x,-y,-z'
'-x+1/2,-y,z+1/2'
'x+1/2,y,-z+1/2'
'x+1/2,-y+1/2,-z+1/2'
'-x+1/2,y+1/2,z+1/2'
'-x,y+1/2,-z'
'x,-y+1/2,z'
loop_
_atom_site_label
_atom_site_type_symbol
_atom_site_fract_x
_atom_site_fract_y
_atom_site_fract_z
Sm1 Sm 0.2481 0.2500 0.0006
Br1 Br 0.0838 0.2500 0.6289
Br2 Br 0.0874 0.7500 0.8704



Number 1: E -0.728 hartree per atom. Number 2: E -0.402 hartree per atom. Number 3: E -0.538 hartree per atom. Number 4: E -0.459 hartree per atom. Number 5: E -0.780 hartree per atom. Number 6: E -0.758 hartree per atom.